[1]
{"formula": "CrPO4", "functional": "PBE+U", "state": "optimized geometry", "lattice": [[-6.092, -1.070, 4.093], [-5.846, -2.340, -1.077], [-0.353, -3.845, 3.673]], "species": ["O", "O", "O", "O", "O", "O", "Cr", "P", "P", "O", "Cr", "O"], "frac_coords": [[0.721, 0.958, 0.321], [0.251, 0.929, 0.292], [0.574, 0.039, 0.873], [0.211, 0.676, 0.736], [0.736, 0.377, 0.211], [0.873, 0.514, 0.574], [0.317, 0.183, 0.317], [0.381, 0.619, 0.381], [0.631, 0.869, 0.631], [0.292, 0.529, 0.251], [0.067, 0.933, 0.067], [0.321, 0.999, 0.721]], "e_ij_max_c_m2": 1.65, "total_energy_ev_per_cell": -89.95, "spacegroup": "Fdd2, No. 43", "ef_ev_per_atom": -2.477}

[2]
{"formula": "CrP2O7", "functional": "PBE+U", "state": "optimized geometry", "lattice": [[6.769, 0.000, -2.554], [0.000, 8.047, 0.000], [-0.003, 0.000, 9.359]], "species": ["O", "O", "O", "O", "Cr", "O", "O", "O", "O", "P", "Cr", "P", "O", "O", "O", "O", "O", "Cr", "P", "Cr", "O", "O", "O", "P", "O", "O", "O", "O", "P", "O", "O", "O", "O", "P", "P", "O", "O", "O", "O", "P"], "frac_coords": [[0.463, 0.919, 0.667], [0.537, 0.419, 0.833], [0.009, 0.914, 0.157], [0.800, 0.646, 0.108], [0.727, 0.992, 0.753], [0.200, 0.146, 0.392], [0.800, 0.854, 0.608], [0.360, 0.883, 0.101], [0.640, 0.383, 0.399], [0.927, 0.761, 0.056], [0.273, 0.492, 0.747], [0.325, 0.798, 0.551], [0.191, 0.189, 0.110], [0.326, 0.679, 0.889], [0.809, 0.811, 0.890], [0.360, 0.617, 0.601], [0.674, 0.179, 0.611], [0.727, 0.508, 0.253], [0.927, 0.739, 0.556], [0.273, 0.008, 0.247], [0.200, 0.354, 0.892], [0.890, 0.350, 0.949], [0.809, 0.689, 0.390], [0.675, 0.298, 0.949], [0.674, 0.321, 0.111], [0.640, 0.117, 0.899], [0.890, 0.150, 0.449], [0.191, 0.311, 0.610], [0.073, 0.239, 0.944], [0.326, 0.821, 0.389], [0.110, 0.850, 0.551], [0.110, 0.650, 0.051], [0.991, 0.086, 0.843], [0.675, 0.202, 0.449], [0.325, 0.702, 0.051], [0.537, 0.081, 0.333], [0.991, 0.414, 0.343], [0.463, 0.581, 0.167], [0.009, 0.586, 0.657], [0.073, 0.261, 0.444]], "total_energy_ev_per_cell": -291.46, "spacegroup": "P2_1/c, No. 14", "ef_ev_per_atom": -2.456, "relative_energy_mev_per_atom": 1}

[3]
{"formula": "CrP2O7", "functional": "PBE+U", "state": "optimized geometry", "lattice": [[-4.691, -3.806, -3.220], [5.394, -5.951, -0.824], [-0.553, -1.771, 9.164]], "species": ["O", "O", "Cr", "O", "O", "O", "O", "P", "Cr", "O", "O", "O", "O", "O", "P", "O", "O", "O", "O", "P", "O", "P", "O", "O", "O", "O", "O", "O", "O", "O", "O", "Cr", "O", "P", "Cr", "P", "O", "O", "P", "P"], "frac_coords": [[0.765, 0.114, 0.793], [0.086, 0.334, 0.593], [0.280, 0.272, 0.495], [0.476, 0.083, 0.138], [0.394, 0.095, 0.628], [0.483, 0.273, 0.390], [0.524, 0.583, 0.362], [0.532, 0.413, 0.295], [0.720, 0.728, 0.505], [0.888, 0.898, 0.636], [0.086, 0.166, 0.093], [0.517, 0.773, 0.110], [0.606, 0.595, 0.872], [0.476, 0.417, 0.638], [0.068, 0.469, 0.707], [0.861, 0.945, 0.156], [0.394, 0.405, 0.128], [0.914, 0.666, 0.407], [0.112, 0.398, 0.864], [0.932, 0.969, 0.793], [0.524, 0.917, 0.862], [0.532, 0.087, 0.795], [0.139, 0.055, 0.844], [0.235, 0.886, 0.207], [0.861, 0.555, 0.656], [0.888, 0.602, 0.136], [0.517, 0.727, 0.610], [0.765, 0.386, 0.293], [0.112, 0.102, 0.364], [0.483, 0.227, 0.890], [0.139, 0.445, 0.344], [0.280, 0.228, 0.995], [0.606, 0.905, 0.372], [0.467, 0.913, 0.205], [0.720, 0.772, 0.005], [0.068, 0.031, 0.207], [0.235, 0.614, 0.707], [0.914, 0.834, 0.907], [0.467, 0.587, 0.705], [0.932, 0.531, 0.293]], "total_energy_ev_per_cell": -290.33, "spacegroup": "P2_1/c, No. 14", "ef_ev_per_atom": -2.427, "relative_energy_mev_per_atom": 29}